30
Lattice="5.181 -6.033 0.000 5.181 6.033 0.000 0.000 0.000 10.143" Properties=species:S:1:pos:R:3 comment="PBE SiO2, relaxed" crystal_system=orthorhombic formation_enthalpy_0k_mev_per_atom=-3234 total_energy_ev_per_atom=-7.88 pbc="T T T"
Si 0.000 0.000 2.536
Si 0.000 0.000 7.607
Si 4.083 3.437 1.531
Si 4.083 3.437 8.612
Si 6.279 3.437 3.541
Si 6.279 3.437 6.602
Si 4.083 -3.437 3.541
Si 4.083 -3.437 6.602
Si 6.279 -3.437 1.531
Si 6.279 -3.437 8.612
O 2.590 3.016 2.014
O 2.590 3.016 8.129
O 0.936 0.967 1.608
O 0.936 0.967 8.535
O 0.936 -0.967 3.463
O 0.936 -0.967 6.680
O 4.334 2.931 0.000
O 5.181 2.757 2.536
O 5.181 2.757 7.607
O 6.028 2.931 5.071
O 2.590 -3.016 3.058
O 2.590 -3.016 7.085
O 4.334 -2.931 5.071
O 5.181 -2.757 2.536
O 5.181 -2.757 7.607
O 6.028 -2.931 0.000
O 9.426 0.967 3.463
O 9.426 0.967 6.680
O 9.426 -0.967 1.608
O 9.426 -0.967 8.535


40
Lattice="24.276 0.000 0.000 0.000 4.187 0.000 0.000 0.000 7.004" Properties=species:S:1:pos:R:3 comment="PBE Ce3Al4Co3, relaxed" crystal_system=orthorhombic formation_enthalpy_0k_mev_per_atom=-521 total_energy_ev_per_atom=-5.93 pbc="T T T"
Ce 0.920 1.047 1.045
Ce 3.227 1.047 3.690
Ce 4.176 1.047 0.228
Ce 7.962 3.141 3.730
Ce 8.911 3.141 0.188
Ce 11.218 3.141 4.547
Ce 13.059 1.047 2.457
Ce 15.366 1.047 6.816
Ce 16.314 1.047 3.274
Ce 20.100 3.141 6.776
Ce 21.049 3.141 3.314
Ce 23.356 3.141 5.959
Al 0.906 3.141 3.418
Al 2.227 3.141 5.976
Al 5.178 3.141 2.314
Al 5.217 3.141 5.108
Al 6.922 1.047 1.606
Al 6.960 1.047 5.816
Al 9.911 1.047 2.474
Al 11.232 1.047 6.920
Al 13.044 3.141 0.084
Al 14.365 3.141 4.530
Al 17.316 3.141 1.188
Al 17.355 3.141 5.398
Al 19.060 1.047 1.896
Al 19.098 1.047 4.690
Al 22.049 1.047 1.028
Al 23.370 1.047 3.586
Co 1.273 1.047 4.933
Co 2.674 3.141 1.562
Co 5.566 1.047 3.715
Co 6.572 3.141 0.213
Co 9.464 1.047 5.064
Co 10.865 3.141 1.431
Co 13.411 1.047 5.573
Co 14.812 3.141 1.940
Co 17.704 1.047 6.791
Co 18.710 3.141 3.289
Co 21.602 1.047 5.442
Co 23.003 3.141 2.071


102
Lattice="9.203 0.000 0.000 4.600 7.979 0.000 0.126 0.133 23.688" Properties=species:S:1:pos:R:3 comment="PBE Y3TaSiS5O24, relaxed" crystal_system=triclinic formation_enthalpy_0k_mev_per_atom=-2670 total_energy_ev_per_atom=-7.37 pbc="T T T"
Y 0.000 0.000 0.000
Y 0.113 0.117 18.596
Y 0.114 0.134 11.862
Y 4.551 2.751 10.715
Y 4.612 2.728 15.705
Y 4.745 2.797 22.710
Y 4.683 2.706 4.009
Y 9.207 5.393 7.865
Y 9.321 5.434 19.750
Ta 13.814 7.982 6.745
Ta 9.211 5.419 3.080
Ta 9.315 5.358 14.695
Si 2.004 2.763 13.279
Si 6.578 5.420 5.428
Si 10.618 7.625 5.417
S 1.476 2.417 21.153
S 3.404 5.801 9.255
S 3.155 4.986 1.455
S 2.640 0.071 9.255
S 6.040 5.790 21.155
S 3.331 0.243 1.465
S 6.129 5.053 13.318
S 8.012 7.647 17.166
S 5.978 0.322 13.322
S 7.375 2.770 1.459
S 8.018 3.187 17.153
S 6.665 0.139 21.154
S 7.952 2.272 9.254
S 11.882 5.441 17.152
S 10.472 3.019 5.370
O 0.952 1.576 13.094
O 3.712 6.338 1.217
O 3.976 6.561 8.049
O 1.204 1.584 19.948
O 3.384 4.151 0.238
O 2.675 2.796 5.068
O 3.551 4.285 16.969
O 2.914 3.099 11.978
O 3.802 4.370 2.613
O 2.907 2.604 14.602
O 2.936 2.567 21.343
O 4.106 4.499 9.316
O 1.725 0.219 8.070
O 5.449 6.427 19.945
O 5.685 6.834 5.733
O 1.892 0.016 1.230
O 5.589 6.392 13.121
O 6.441 7.871 10.482
O 5.793 6.628 22.347
O 6.539 7.767 17.296
O 3.474 1.293 9.357
O 5.439 4.451 21.343
O 3.542 1.111 2.623
O 5.548 4.424 14.513
O 5.546 4.295 5.017
O 4.025 0.990 17.011
O 3.956 0.822 0.246
O 6.014 4.203 12.129
O 8.098 6.872 9.121
O 7.499 5.638 20.975
O 8.323 6.786 15.982
O 7.663 5.602 4.080
O 8.567 7.026 18.387
O 7.504 5.167 6.673
O 7.637 5.249 13.646
O 8.576 6.859 1.721
O 5.326 0.865 12.125
O 6.586 3.033 16.932
O 6.542 3.006 0.240
O 5.455 1.065 5.016
O 5.810 1.331 21.344
O 6.506 2.507 2.608
O 5.779 1.178 14.504
O 6.488 2.382 9.378
O 9.928 6.935 13.658
O 8.279 3.990 18.357
O 8.252 3.962 1.721
O 10.048 6.898 6.684
O 8.611 3.930 15.963
O 10.410 6.925 20.976
O 10.275 6.575 4.066
O 8.580 3.583 9.084
O 7.513 0.327 19.943
O 8.250 1.596 1.218
O 11.995 8.026 13.125
O 8.309 1.404 8.056
O 12.120 7.918 22.344
O 8.503 1.650 10.472
O 8.690 1.875 17.258
O 9.823 3.695 4.158
O 10.943 5.585 15.971
O 12.287 7.778 5.701
O 10.219 4.142 13.694
O 10.074 3.753 20.969
O 10.879 5.113 1.703
O 11.172 5.607 9.065
O 11.072 5.242 18.365
O 10.300 3.828 6.559
O 12.685 6.680 17.257
O 9.816 1.672 5.588
O 10.081 1.787 22.351
O 12.858 6.589 10.461


8
Lattice="3.044 0.000 0.000 -1.522 2.637 0.000 0.000 0.000 11.602" Properties=species:S:1:pos:R:3 comment="PBE LiAgF2, relaxed" de_polymorph_kj_per_mol_atoms=1.6 crystal_system=hexagonal formation_enthalpy_0k_mev_per_atom=-2158 total_energy_ev_per_atom=-4.07 pbc="T T T"
Li 0.000 0.000 0.000
Li 0.000 0.000 5.801
Ag 0.000 1.758 2.901
Ag 1.522 0.879 8.702
F 0.000 1.758 6.911
F 0.000 1.758 10.493
F 1.522 0.879 1.110
F 1.522 0.879 4.692


> Number 1 is which compound?

SiO2


Copy entry 4 word for word.
8
Lattice="3.044 0.000 0.000 -1.522 2.637 0.000 0.000 0.000 11.602" Properties=species:S:1:pos:R:3 comment="PBE LiAgF2, relaxed" de_polymorph_kj_per_mol_atoms=1.6 crystal_system=hexagonal formation_enthalpy_0k_mev_per_atom=-2158 total_energy_ev_per_atom=-4.07 pbc="T T T"
Li 0.000 0.000 0.000
Li 0.000 0.000 5.801
Ag 0.000 1.758 2.901
Ag 1.522 0.879 8.702
F 0.000 1.758 6.911
F 0.000 1.758 10.493
F 1.522 0.879 1.110
F 1.522 0.879 4.692